No. 1
First-principles (GGA+U) data for Li7Mn2Co3O12 after structural relaxation, as listed in the Materials Project.

DFT total energy	-5.807	eV per atom

Geometry as CIF:
```
data_Li7Mn2Co3O12
_chemical_formula_sum 'Li14 Mn4 Co6 O24'
_cell_length_a 9.840
_cell_length_b 2.899
_cell_length_c 15.474
_cell_angle_alpha 90.00
_cell_angle_beta 99.67
_cell_angle_gamma 90.00
_space_group_name_H-M_alt 'C 1 2/m 1'
_space_group_IT_number 12
loop_
_space_group_symop_operation_xyz
'x,y,z'
'-x,-y,-z'
'-x,y,-z'
'x,-y,z'
'x+1/2,y+1/2,z'
'-x+1/2,-y+1/2,-z'
'-x+1/2,y+1/2,-z'
'x+1/2,-y+1/2,z'
loop_
_atom_site_label
_atom_site_fract_x
_atom_site_fract_y
_atom_site_fract_z
Li1 0.000 0.000 0.000
Li2 0.240 0.500 0.075
Li3 0.248 0.000 0.243
Li4 0.249 0.500 0.416
Mn1 0.000 0.000 0.331
Co1 0.000 0.500 0.500
Co2 0.010 0.500 0.849
O1 0.106 0.000 0.784
O2 0.111 0.500 0.298
O3 0.112 0.000 0.451
O4 0.113 0.000 0.131
O5 0.114 0.500 0.633
O6 0.124 0.500 0.951
```

No. 2
First-principles (GGA+U) data for Li4Mn3CoO8 after structural relaxation, as listed in the Materials Project.

DFT total energy	-6.351	eV per atom

Geometry as CIF:
```
data_Li4Mn3CoO8
_chemical_formula_sum 'Li8 Mn6 Co2 O16'
_cell_length_a 19.552
_cell_length_b 3.077
_cell_length_c 5.036
_cell_angle_alpha 90.00
_cell_angle_beta 92.03
_cell_angle_gamma 90.00
_space_group_name_H-M_alt 'C 1 2/m 1'
_space_group_IT_number 12
loop_
_space_group_symop_operation_xyz
'x,y,z'
'-x,-y,-z'
'-x,y,-z'
'x,-y,z'
'x+1/2,y+1/2,z'
'-x+1/2,-y+1/2,-z'
'-x+1/2,y+1/2,-z'
'x+1/2,-y+1/2,z'
loop_
_atom_site_label
_atom_site_fract_x
_atom_site_fract_y
_atom_site_fract_z
Li1 0.124 0.000 0.373
Li2 0.125 0.500 0.874
Mn1 0.000 0.000 0.000
Mn2 0.250 0.000 0.750
Co1 0.000 0.500 0.500
O1 0.056 0.000 0.692
O2 0.058 0.500 0.198
O3 0.192 0.000 0.052
O4 0.192 0.500 0.553
```

Looking at formation energy for the records above, in order, we have -1811 -1996 meV per atom.